[1]
{
  "formula": "Sr2LiSiN3",
  "functional": "GGA-PBE",
  "state": "optimized geometry",
  "m_tot_mub_per_fu": 0.0,
  "dft_energy_ev_per_atom": -5.9401,
  "crystal_system": "monoclinic",
  "formation_energy_mev_per_atom": -992,
  "mass_density_g_cm3": 3.73,
  "cell": [[5.382, -5.349, 0.000], [5.382, 5.349, 0.000], [-5.332, 0.000, 7.807]],
  "species": ["Sr", "Sr", "Sr", "Sr", "Sr", "Sr", "Sr", "Sr", "Li", "Li", "Li", "Li", "Si", "Si", "Si", "Si", "N", "N", "N", "N", "N", "N", "N", "N", "N", "N", "N", "N"],
  "frac_coords": [[0.032, 0.032, 0.286], [0.062, 0.532, 0.352], [0.468, 0.938, 0.648], [0.475, 0.452, 0.657], [0.534, 0.045, 0.321], [0.548, 0.525, 0.343], [0.955, 0.466, 0.679], [0.968, 0.968, 0.714], [0.332, 0.348, 0.953], [0.652, 0.668, 0.047], [0.668, 0.140, 0.089], [0.860, 0.332, 0.911], [0.178, 0.645, 0.101], [0.179, 0.195, 0.097], [0.355, 0.822, 0.899], [0.805, 0.821, 0.903], [0.152, 0.395, 0.051], [0.211, 0.712, 0.678], [0.288, 0.789, 0.322], [0.290, 0.277, 0.321], [0.323, 0.069, 0.993], [0.333, 0.667, 0.000], [0.605, 0.848, 0.949], [0.692, 0.195, 0.653], [0.723, 0.710, 0.679], [0.805, 0.308, 0.347], [0.931, 0.677, 0.007], [0.943, 0.057, 0.000]]
}


[2]
{
  "formula": "LiSnN",
  "functional": "GGA-PBE",
  "state": "optimized geometry",
  "m_tot_mub_per_fu": 0.0,
  "polymorph_energy_mev_per_atom": 286.9,
  "dft_energy_ev_per_atom": -4.6489,
  "crystal_system": "hexagonal",
  "formation_energy_mev_per_atom": -18,
  "mass_density_g_cm3": 4.78,
  "cell": [[3.639, 0.000, 0.000], [-1.819, 3.151, 0.000], [0.000, 0.000, 4.233]],
  "species": ["Li", "Sn", "N"],
  "frac_coords": [[0.000, 0.000, 0.000], [0.667, 0.333, 0.500], [0.667, 0.333, 0.000]]
}